Record 1
Below is Na3MgVH6O7 after structural relaxation, with properties calculated at the PBE with a Hubbard U level.

Results
formation energy from the elements = -1.688 eV per atom
E = -93.5 eV/cell
density = 2.3 g/cm³

CIF file:
```
data_Na3MgVH6O7
_chemical_formula_sum 'Na3 Mg1 V1 H6 O7'
_space_group_name_H-M_alt 'P 1'
_space_group_IT_number 1
_cell_length_a 5.861
_cell_length_b 5.887
_cell_length_c 5.972
_cell_angle_alpha 88.89
_cell_angle_beta 76.01
_cell_angle_gamma 74.71
loop_
_space_group_symop_operation_xyz
'x,y,z'
loop_
_atom_site_label
_atom_site_type_symbol
_atom_site_fract_x
_atom_site_fract_y
_atom_site_fract_z
_atom_site_occupancy
Na1 Na 0.000 0.000 0.000 1
Na2 Na 0.005 0.783 0.485 1
Na3 Na 0.715 0.442 0.225 1
Mg1 Mg 0.440 0.925 0.479 1
V1 V 0.498 0.305 0.689 1
H1 H 0.122 0.319 0.448 1
H2 H 0.248 0.368 0.191 1
H3 H 0.418 0.756 0.072 1
H4 H 0.494 0.097 0.061 1
H5 H 0.734 0.616 0.772 1
H6 H 0.996 0.448 0.791 1
O1 O 0.090 0.414 0.308 1
O2 O 0.203 0.198 0.684 1
O3 O 0.330 0.871 0.199 1
O4 O 0.511 0.621 0.623 1
O5 O 0.559 0.231 0.997 1
O6 O 0.699 0.086 0.444 1
O7 O 0.873 0.607 0.849 1
```

---

Record 2
Below is LiFe5O8 after structural relaxation, with properties calculated at the PBE with a Hubbard U level.

Results
energy above the lowest structure with this stoichiometry = 0.000 eV per atom
formation energy from the elements = -1.712 eV per atom
E = -364.1 eV/cell
density = 4.5 g/cm³

CIF file:
```
data_LiFe5O8
_chemical_formula_sum 'Li4 Fe20 O32'
_space_group_name_H-M_alt 'P 43 3 2'
_space_group_IT_number 212
_space_group_name_Hall 'P 4acd 2ab 3'
_cell_length_a 8.490
_cell_length_b 8.490
_cell_length_c 8.490
_cell_angle_alpha 90.00
_cell_angle_beta 90.00
_cell_angle_gamma 90.00
loop_
_atom_site_label
_atom_site_type_symbol
_atom_site_fract_x
_atom_site_fract_y
_atom_site_fract_z
_atom_site_occupancy
Li1 Li 0.125 0.125 0.125 1
Fe1 Fe 0.005 0.505 0.995 1
Fe2 Fe 0.114 0.375 0.364 1
O1 O 0.110 0.390 0.610 1
O2 O 0.117 0.121 0.874 1
```

---

Record 3
Below is CaEuNiBiO6 after structural relaxation, with properties calculated at the PBE with a Hubbard U level.

Results
formation energy from the elements = -1.962 eV per atom
E = -258.3 eV/cell
density = 6.9 g/cm³

CIF file:
```
data_CaEuNiBiO6
_chemical_formula_sum 'Ca4 Eu4 Ni4 Bi4 O24'
_space_group_name_H-M_alt 'F -4 3 m'
_space_group_IT_number 216
_space_group_name_Hall 'F -4 2 3'
_cell_length_a 8.102
_cell_length_b 8.102
_cell_length_c 8.102
_cell_angle_alpha 90.00
_cell_angle_beta 90.00
_cell_angle_gamma 90.00
loop_
_atom_site_label
_atom_site_type_symbol
_atom_site_fract_x
_atom_site_fract_y
_atom_site_fract_z
_atom_site_occupancy
Ca1 Ca 0.000 0.000 0.000 1
Eu1 Eu 0.000 0.000 0.500 1
Ni1 Ni 0.250 0.250 0.250 1
Bi1 Bi 0.250 0.250 0.750 1
O1 O 0.006 0.250 0.250 1
```

---

Record 4
Below is CoP2H10N2O8 after structural relaxation, with properties calculated at the PBE with a Hubbard U level.

Results
formation energy from the elements = -1.371 eV per atom
E = -530.1 eV/cell
density = 2.3 g/cm³

CIF file:
```
data_CoP2H10N2O8
_chemical_formula_sum 'Co4 P8 H40 N8 O32'
_space_group_name_H-M_alt 'P 1 21/c 1'
_space_group_IT_number 14
_cell_length_a 6.476
_cell_length_b 10.542
_cell_length_c 12.754
_cell_angle_alpha 90.00
_cell_angle_beta 103.90
_cell_angle_gamma 90.00
loop_
_space_group_symop_operation_xyz
'x,y,z'
'-x,-y,-z'
'-x,y+1/2,-z+1/2'
'x,-y+1/2,z+1/2'
loop_
_atom_site_label
_atom_site_type_symbol
_atom_site_fract_x
_atom_site_fract_y
_atom_site_fract_z
_atom_site_occupancy
Co1 Co 0.047 0.199 0.152 1
P1 P 0.038 0.190 0.418 1
P2 P 0.271 0.031 0.607 1
H1 H 0.044 0.051 0.905 1
H2 H 0.076 0.033 0.787 1
H3 H 0.305 0.045 0.430 1
H4 H 0.320 0.689 0.114 1
H5 H 0.345 0.669 0.863 1
H6 H 0.360 0.723 0.452 1
H7 H 0.375 0.184 0.871 1
H8 H 0.399 0.062 0.239 1
H9 H 0.443 0.581 0.597 1
H10 H 0.479 0.160 0.162 1
N1 N 0.202 0.622 0.109 1
N2 N 0.214 0.082 0.479 1
O1 O 0.028 0.196 0.989 1
O2 O 0.070 0.513 0.354 1
O3 O 0.105 0.222 0.314 1
O4 O 0.135 0.109 0.665 1
O5 O 0.295 0.744 0.375 1
O6 O 0.354 0.109 0.169 1
O7 O 0.478 0.670 0.587 1
O8 O 0.487 0.531 0.852 1
```

---

Record 5
Below is MgVW2O8 after structural relaxation, with properties calculated at the PBE with a Hubbard U level.

Results
energy above the lowest structure with this stoichiometry = 0.012 eV per atom
formation energy from the elements = -2.334 eV per atom
E = -88.1 eV/cell
density = 6.0 g/cm³

CIF file:
```
data_MgVW2O8
_chemical_formula_sum 'Mg1 V1 W2 O8'
_space_group_name_H-M_alt 'P 1'
_space_group_IT_number 1
_cell_length_a 5.054
_cell_length_b 5.442
_cell_length_c 6.248
_cell_angle_alpha 72.59
_cell_angle_beta 87.22
_cell_angle_gamma 75.21
loop_
_space_group_symop_operation_xyz
'x,y,z'
loop_
_atom_site_label
_atom_site_type_symbol
_atom_site_fract_x
_atom_site_fract_y
_atom_site_fract_z
_atom_site_occupancy
Mg1 Mg 0.000 0.000 0.000 1
V1 V 0.657 0.890 0.552 1
W1 W 0.390 0.403 0.706 1
W2 W 0.927 0.393 0.374 1
O1 O 0.000 0.622 0.120 1
O2 O 0.014 0.612 0.577 1
O3 O 0.301 0.201 0.487 1
O4 O 0.304 0.171 0.958 1
O5 O 0.487 0.684 0.793 1
O6 O 0.566 0.610 0.402 1
O7 O 0.788 0.154 0.701 1
O8 O 0.841 0.130 0.272 1
```

---

Record 6
Below is K3CrF6 after structural relaxation, with properties calculated at the PBE with a Hubbard U level.

Results
formation energy from the elements = -3.086 eV per atom
E = -202.2 eV/cell
density = 2.7 g/cm³

CIF file:
```
data_K3CrF6
_chemical_formula_sum 'K12 Cr4 F24'
_space_group_name_H-M_alt 'F m -3 m'
_space_group_IT_number 225
_space_group_name_Hall '-F 4 2 3'
_cell_length_a 8.907
_cell_length_b 8.907
_cell_length_c 8.907
_cell_angle_alpha 90.00
_cell_angle_beta 90.00
_cell_angle_gamma 90.00
loop_
_atom_site_label
_atom_site_type_symbol
_atom_site_fract_x
_atom_site_fract_y
_atom_site_fract_z
_atom_site_occupancy
K1 K 0.000 0.000 0.000 1
K2 K 0.250 0.250 0.250 1
Cr1 Cr 0.000 0.000 0.500 1
F1 F 0.000 0.000 0.282 1
```

---

Record 7
Below is Mn2Co3P4O20 after structural relaxation, with properties calculated at the PBE with a Hubbard U level.

Results
formation energy from the elements = -1.799 eV per atom
E = -761.8 eV/cell
density = 3.5 g/cm³

CIF file:
```
data_Mn2Co3P4O20
_chemical_formula_sum 'Mn8 Co12 P16 O80'
_space_group_name_H-M_alt 'C 1 2/c 1'
_space_group_IT_number 15
_cell_length_a 17.133
_cell_length_b 9.001
_cell_length_c 9.232
_cell_angle_alpha 90.00
_cell_angle_beta 100.44
_cell_angle_gamma 90.00
loop_
_space_group_symop_operation_xyz
'x,y,z'
'-x,-y,-z'
'-x,y,-z+1/2'
'x,-y,z+1/2'
'x+1/2,y+1/2,z'
'-x+1/2,-y+1/2,-z'
'-x+1/2,y+1/2,-z+1/2'
'x+1/2,-y+1/2,z+1/2'
loop_
_atom_site_label
_atom_site_type_symbol
_atom_site_fract_x
_atom_site_fract_y
_atom_site_fract_z
_atom_site_occupancy
Mn1 Mn 0.177 0.025 0.379 1
Co1 Co 0.000 0.116 0.750 1
Co2 Co 0.186 0.432 0.314 1
P1 P 0.082 0.189 0.105 1
P2 P 0.158 0.251 0.634 1
O1 O 0.004 0.277 0.083 1
O2 O 0.074 0.252 0.663 1
O3 O 0.082 0.061 0.224 1
O4 O 0.089 0.115 0.955 1
O5 O 0.098 0.489 0.335 1
O6 O 0.155 0.286 0.163 1
O7 O 0.166 0.221 0.470 1
O8 O 0.203 0.399 0.675 1
O9 O 0.206 0.123 0.728 1
O10 O 0.238 0.465 0.967 1
```

---

Record 8
Below is La2WO6 after structural relaxation, with properties calculated at the PBE with a Hubbard U level.

Results
formation energy from the elements = -3.285 eV per atom
E = -588.2 eV/cell
density = 6.7 g/cm³

CIF file:
```
data_La2WO6
_chemical_formula_sum 'La16 W8 O48'
_space_group_name_H-M_alt 'P 21 21 21'
_space_group_IT_number 19
_cell_length_a 5.524
_cell_length_b 9.119
_cell_length_c 21.964
_cell_angle_alpha 90.00
_cell_angle_beta 90.00
_cell_angle_gamma 90.00
loop_
_space_group_symop_operation_xyz
'x,y,z'
'-x+1/2,-y,z+1/2'
'x+1/2,-y+1/2,-z'
'-x,y+1/2,-z+1/2'
loop_
_atom_site_label
_atom_site_type_symbol
_atom_site_fract_x
_atom_site_fract_y
_atom_site_fract_z
_atom_site_occupancy
La1 La 0.006 0.246 0.300 1
La2 La 0.038 0.746 0.932 1
La3 La 0.040 0.088 0.065 1
La4 La 0.081 0.107 0.835 1
W1 W 0.012 0.480 0.813 1
W2 W 0.064 0.484 0.056 1
O1 O 0.100 0.825 0.404 1
O2 O 0.117 0.833 0.633 1
O3 O 0.168 0.622 0.757 1
O4 O 0.172 0.107 0.381 1
O5 O 0.185 0.048 0.499 1
O6 O 0.210 0.120 0.642 1
O7 O 0.217 0.453 0.619 1
O8 O 0.218 0.327 0.780 1
O9 O 0.223 0.386 0.503 1
O10 O 0.234 0.332 0.018 1
O11 O 0.239 0.448 0.371 1
O12 O 0.243 0.969 0.748 1
```

---

Record 9
Below is Fe3O2F2 after structural relaxation, with properties calculated at the PBE with a Hubbard U level.

Results
energy above the lowest structure with this stoichiometry = 0.043 eV per atom
formation energy from the elements = -1.870 eV per atom
E = -172.6 eV/cell
density = 4.5 g/cm³

CIF file:
```
data_Fe3O2F2
_chemical_formula_sum 'Fe12 O8 F8'
_space_group_name_H-M_alt 'P 1'
_space_group_IT_number 1
_cell_length_a 6.399
_cell_length_b 6.445
_cell_length_c 8.595
_cell_angle_alpha 90.06
_cell_angle_beta 90.09
_cell_angle_gamma 90.14
loop_
_space_group_symop_operation_xyz
'x,y,z'
loop_
_atom_site_label
_atom_site_type_symbol
_atom_site_fract_x
_atom_site_fract_y
_atom_site_fract_z
_atom_site_occupancy
Fe1 Fe 0.000 0.000 0.000 1
Fe2 Fe 0.000 0.249 0.402 1
Fe3 Fe 0.000 0.499 0.000 1
Fe4 Fe 0.000 0.749 0.402 1
Fe5 Fe 0.250 0.000 0.681 1
Fe6 Fe 0.250 0.499 0.681 1
Fe7 Fe 0.499 0.498 0.362 1
Fe8 Fe 0.500 0.249 0.951 1
Fe9 Fe 0.500 0.750 0.960 1
Fe10 Fe 0.501 0.001 0.362 1
Fe11 Fe 0.750 0.000 0.681 1
Fe12 Fe 0.750 0.499 0.680 1
O1 O 0.216 0.501 0.452 1
O2 O 0.218 0.000 0.452 1
O3 O 0.282 0.501 0.911 1
O4 O 0.284 0.003 0.911 1
O5 O 0.716 0.496 0.911 1
O6 O 0.718 0.997 0.910 1
O7 O 0.782 0.498 0.452 1
O8 O 0.784 0.998 0.452 1
F1 F 0.000 0.249 0.693 1
F2 F 0.000 0.749 0.694 1
F3 F 0.006 0.249 0.163 1
F4 F 0.493 0.749 0.199 1
F5 F 0.500 0.249 0.667 1
F6 F 0.500 0.749 0.673 1
F7 F 0.506 0.249 0.203 1
F8 F 0.994 0.750 0.162 1
```

---

Question: Look up the E of the eighth one.
Answer: -588.2 eV/cell